(1)
Computed, not measured: a relaxed CaMnAl4SiP3H5O20 crystal at the GGA+U level of DFT.

Values from the calculation:
The spin magnetization is 2.00 μB/f.u. The calculation puts the energy above the lowest structure with this stoichiometry at 755 meV/atom.

Cell lengths 20.259, 12.675, 7.037 Å; angles 90.00, 105.27, 90.00 degrees
Space group C2/m (No. 12)
One atom of each set of equivalent atoms:
Ca (0.000, 0.230, 0.000) [4 per cell]
Mn (0.240, 0.500, 0.829) [4 per cell]
Al (0.088, 0.395, 0.759) [8 per cell]
Al (0.190, 0.104, 0.524) [8 per cell]
Si (0.046, 0.500, 0.312) [4 per cell]
P (0.035, 0.000, 0.393) [4 per cell]
P (0.194, 0.242, 0.207) [8 per cell]
H (0.105, 0.500, 0.917) [4 per cell]
H (0.109, 0.500, 0.241) [4 per cell]
H (0.168, 0.396, 0.737) [8 per cell]
H (0.189, 0.500, 0.099) [4 per cell]
O (0.003, 0.391, 0.239) [8 per cell]
O (0.024, 0.104, 0.285) [8 per cell]
O (0.070, 0.500, 0.557) [4 per cell]
O (0.082, 0.000, 0.011) [4 per cell]
O (0.098, 0.259, 0.875) [8 per cell]
O (0.121, 0.000, 0.534) [4 per cell]
O (0.129, 0.000, 0.931) [4 per cell]
O (0.138, 0.316, 0.057) [8 per cell]
O (0.154, 0.204, 0.355) [8 per cell]
O (0.216, 0.152, 0.101) [8 per cell]
O (0.231, 0.000, 0.428) [4 per cell]
O (0.237, 0.500, 0.090) [4 per cell]
O (0.249, 0.321, 0.307) [8 per cell]

(2)
Computed, not measured: a relaxed CaMnAl4SiP3H5O20 crystal at the GGA+U level of DFT.

Values from the calculation:
The spin magnetization is 5.00 μB/f.u. The calculation puts the energy above the lowest structure with this stoichiometry at 0 meV/atom.

Cell lengths 17.342, 11.586, 7.397 Å; angles 90.00, 113.50, 90.00 degrees
Space group C2/m (No. 12)
One atom of each set of equivalent atoms:
Ca (0.000, 0.243, 0.000) [4 per cell]
Mn (0.214, 0.000, 0.947) [4 per cell]
Al (0.118, 0.371, 0.769) [8 per cell]
Al (0.131, 0.133, 0.497) [8 per cell]
Si (0.050, 0.500, 0.335) [4 per cell]
P (0.034, 0.000, 0.767) [4 per cell]
P (0.209, 0.246, 0.195) [8 per cell]
H (0.047, 0.293, 0.453) [8 per cell]
H (0.136, 0.500, 0.055) [4 per cell]
H (0.179, 0.000, 0.310) [4 per cell]
H (0.186, 0.500, 0.359) [4 per cell]
O (0.005, 0.383, 0.752) [8 per cell]
O (0.022, 0.109, 0.282) [8 per cell]
O (0.089, 0.259, 0.577) [8 per cell]
O (0.093, 0.000, 0.645) [4 per cell]
O (0.095, 0.500, 0.579) [4 per cell]
O (0.096, 0.000, 0.982) [4 per cell]
O (0.128, 0.500, 0.258) [4 per cell]
O (0.139, 0.270, 0.988) [8 per cell]
O (0.152, 0.500, 0.938) [4 per cell]
O (0.163, 0.225, 0.329) [8 per cell]
O (0.178, 0.000, 0.440) [4 per cell]
O (0.231, 0.147, 0.737) [8 per cell]
O (0.238, 0.362, 0.813) [8 per cell]

(3)
Computed, not measured: a relaxed Ca2MnAl2Si3HO13 crystal at the GGA+U level of DFT.

Values from the calculation:
The spin magnetization is 4.00 μB/f.u.

Cell lengths 8.946, 5.763, 10.248 Å; angles 90.00, 115.55, 90.00 degrees
Space group P2_1/m (No. 11)
One atom of each set of equivalent atoms:
Ca (0.097, 0.250, 0.427) [2 per cell]
Ca (0.254, 0.250, 0.153) [2 per cell]
Mn (0.204, 0.250, 0.779) [2 per cell]
Al (0.500, 0.000, 0.000) [2 per cell]
Al (0.500, 0.000, 0.500) [2 per cell]
Si (0.161, 0.750, 0.955) [2 per cell]
Si (0.185, 0.750, 0.274) [2 per cell]
Si (0.313, 0.750, 0.680) [2 per cell]
H (0.441, 0.250, 0.670) [2 per cell]
O (0.012, 0.250, 0.185) [2 per cell]
O (0.030, 0.750, 0.317) [2 per cell]
O (0.115, 0.750, 0.095) [2 per cell]
O (0.192, 0.522, 0.642) [4 per cell]
O (0.271, 0.510, 0.968) [4 per cell]
O (0.298, 0.517, 0.335) [4 per cell]
O (0.412, 0.250, 0.566) [2 per cell]
O (0.431, 0.750, 0.592) [2 per cell]
O (0.441, 0.250, 0.869) [2 per cell]
O (0.455, 0.750, 0.855) [2 per cell]

(4)
Computed, not measured: a relaxed Ca8Mn6Al2O23 crystal at the GGA+U level of DFT.

Values from the calculation:
The spin magnetization is 18.00 μB/f.u. The calculation puts the energy above the lowest structure with this stoichiometry at 0 meV/atom.

Cell lengths 10.679, 10.782, 15.094 Å; angles 89.93, 89.87, 89.66 degrees
Space group P1 (No. 1)
One atom of each set of equivalent atoms:
Ca (0.000, 0.000, 0.000) [1 per cell]
Ca (0.000, 0.007, 0.497) [1 per cell]
Ca (0.002, 0.498, 0.499) [1 per cell]
Ca (0.006, 0.466, 0.249) [1 per cell]
Ca (0.018, 0.507, 0.996) [1 per cell]
Ca (0.239, 0.250, 0.499) [1 per cell]
Ca (0.241, 0.749, 0.997) [1 per cell]
Ca (0.242, 0.755, 0.496) [1 per cell]
Ca (0.246, 0.216, 0.244) [1 per cell]
Ca (0.249, 0.710, 0.745) [1 per cell]
Ca (0.252, 0.705, 0.246) [1 per cell]
Ca (0.261, 0.210, 0.747) [1 per cell]
Ca (0.263, 0.254, 0.998) [1 per cell]
Ca (0.485, 0.461, 0.250) [1 per cell]
Ca (0.487, 0.459, 0.740) [1 per cell]
Ca (0.493, 0.957, 0.244) [1 per cell]
Ca (0.495, 0.495, 0.990) [1 per cell]
Ca (0.496, 0.963, 0.746) [1 per cell]
Ca (0.498, 0.506, 0.497) [1 per cell]
Ca (0.500, 0.002, 0.998) [1 per cell]
Ca (0.501, 0.004, 0.496) [1 per cell]
Ca (0.736, 0.226, 0.998) [1 per cell]
Ca (0.740, 0.755, 0.999) [1 per cell]
Ca (0.742, 0.756, 0.497) [1 per cell]
Ca (0.744, 0.215, 0.738) [1 per cell]
Ca (0.745, 0.254, 0.496) [1 per cell]
Ca (0.750, 0.718, 0.741) [1 per cell]
Ca (0.751, 0.210, 0.243) [1 per cell]
Ca (0.752, 0.720, 0.253) [1 per cell]
Ca (0.989, 0.961, 0.245) [1 per cell]
Ca (0.993, 0.957, 0.740) [1 per cell]
Ca (0.999, 0.468, 0.746) [1 per cell]
Mn (0.001, 0.731, 0.122) [1 per cell]
Mn (0.244, 0.480, 0.621) [1 per cell]
Mn (0.245, 0.979, 0.122) [1 per cell]
Mn (0.246, 0.480, 0.371) [1 per cell]
Mn (0.246, 0.983, 0.370) [1 per cell]
Mn (0.246, 0.985, 0.622) [1 per cell]
Mn (0.253, 0.482, 0.872) [1 per cell]
Mn (0.253, 0.981, 0.872) [1 per cell]
Mn (0.494, 0.733, 0.872) [1 per cell]
Mn (0.495, 0.724, 0.120) [1 per cell]
Mn (0.496, 0.734, 0.621) [1 per cell]
Mn (0.497, 0.233, 0.621) [1 per cell]
Mn (0.497, 0.732, 0.371) [1 per cell]
Mn (0.498, 0.232, 0.369) [1 per cell]
Mn (0.745, 0.483, 0.372) [1 per cell]
Mn (0.746, 0.481, 0.620) [1 per cell]
Mn (0.746, 0.981, 0.119) [1 per cell]
Mn (0.747, 0.983, 0.371) [1 per cell]
Mn (0.749, 0.984, 0.622) [1 per cell]
Mn (0.993, 0.232, 0.371) [1 per cell]
Mn (0.994, 0.236, 0.114) [1 per cell]
Mn (0.996, 0.730, 0.620) [1 per cell]
Mn (0.996, 0.734, 0.873) [1 per cell]
Mn (0.998, 0.732, 0.372) [1 per cell]
Al (0.035, 0.237, 0.875) [1 per cell]
Al (0.252, 0.479, 0.121) [1 per cell]
Al (0.482, 0.215, 0.125) [1 per cell]
Al (0.507, 0.229, 0.874) [1 per cell]
Al (0.727, 0.969, 0.871) [1 per cell]
Al (0.729, 0.502, 0.859) [1 per cell]
Al (0.763, 0.496, 0.139) [1 per cell]
Al (0.993, 0.232, 0.625) [1 per cell]
O (0.026, 0.246, 0.239) [1 per cell]
O (0.030, 0.732, 0.747) [1 per cell]
O (0.038, 0.743, 0.247) [1 per cell]
O (0.094, 0.880, 0.890) [1 per cell]
O (0.098, 0.379, 0.388) [1 per cell]
O (0.099, 0.878, 0.603) [1 per cell]
O (0.100, 0.374, 0.612) [1 per cell]
O (0.100, 0.877, 0.101) [1 per cell]
O (0.101, 0.878, 0.393) [1 per cell]
O (0.102, 0.373, 0.100) [1 per cell]
O (0.110, 0.380, 0.887) [1 per cell]
O (0.137, 0.128, 0.093) [1 per cell]
O (0.139, 0.129, 0.610) [1 per cell]
O (0.142, 0.627, 0.600) [1 per cell]
O (0.142, 0.630, 0.891) [1 per cell]
O (0.143, 0.130, 0.388) [1 per cell]
O (0.143, 0.625, 0.105) [1 per cell]
O (0.143, 0.627, 0.391) [1 per cell]
O (0.150, 0.122, 0.892) [1 per cell]
O (0.202, 0.995, 0.245) [1 per cell]
O (0.209, 0.993, 0.748) [1 per cell]
O (0.213, 0.492, 0.746) [1 per cell]
O (0.218, 0.486, 0.246) [1 per cell]
O (0.279, 0.478, 0.996) [1 per cell]
O (0.282, 0.468, 0.496) [1 per cell]
O (0.285, 0.975, 0.496) [1 per cell]
O (0.288, 0.965, 0.997) [1 per cell]
O (0.346, 0.832, 0.850) [1 per cell]
O (0.350, 0.335, 0.351) [1 per cell]
O (0.350, 0.336, 0.641) [1 per cell]
O (0.350, 0.837, 0.349) [1 per cell]
O (0.350, 0.837, 0.642) [1 per cell]
O (0.351, 0.833, 0.144) [1 per cell]
O (0.363, 0.341, 0.134) [1 per cell]
O (0.365, 0.341, 0.857) [1 per cell]
O (0.383, 0.082, 0.139) [1 per cell]
O (0.392, 0.587, 0.639) [1 per cell]
O (0.393, 0.087, 0.642) [1 per cell]
O (0.393, 0.586, 0.140) [1 per cell]
O (0.393, 0.586, 0.354) [1 per cell]
O (0.394, 0.086, 0.348) [1 per cell]
O (0.395, 0.087, 0.857) [1 per cell]
O (0.398, 0.584, 0.851) [1 per cell]
O (0.455, 0.717, 0.996) [1 per cell]
O (0.456, 0.220, 0.496) [1 per cell]
O (0.457, 0.726, 0.496) [1 per cell]
O (0.486, 0.235, 0.000) [1 per cell]
O (0.531, 0.242, 0.748) [1 per cell]
O (0.536, 0.245, 0.242) [1 per cell]
O (0.536, 0.743, 0.746) [1 per cell]
O (0.538, 0.736, 0.245) [1 per cell]
O (0.591, 0.876, 0.891) [1 per cell]
O (0.599, 0.378, 0.393) [1 per cell]
O (0.599, 0.378, 0.599) [1 per cell]
O (0.600, 0.878, 0.390) [1 per cell]
O (0.601, 0.880, 0.604) [1 per cell]
O (0.604, 0.868, 0.098) [1 per cell]
O (0.634, 0.122, 0.108) [1 per cell]
O (0.641, 0.635, 0.890) [1 per cell]
O (0.643, 0.629, 0.393) [1 per cell]
O (0.643, 0.629, 0.601) [1 per cell]
O (0.644, 0.129, 0.391) [1 per cell]
O (0.644, 0.130, 0.603) [1 per cell]
O (0.644, 0.589, 0.088) [1 per cell]
O (0.648, 0.376, 0.904) [1 per cell]
O (0.650, 0.123, 0.880) [1 per cell]
O (0.704, 0.491, 0.249) [1 per cell]
O (0.709, 0.483, 0.743) [1 per cell]
O (0.709, 0.988, 0.246) [1 per cell]
O (0.724, 0.994, 0.748) [1 per cell]
O (0.781, 0.980, 0.991) [1 per cell]
O (0.785, 0.974, 0.496) [1 per cell]
O (0.788, 0.473, 0.495) [1 per cell]
O (0.825, 0.346, 0.116) [1 per cell]
O (0.849, 0.337, 0.348) [1 per cell]
O (0.851, 0.339, 0.636) [1 per cell]
O (0.851, 0.836, 0.140) [1 per cell]
O (0.852, 0.837, 0.639) [1 per cell]
O (0.852, 0.845, 0.852) [1 per cell]
O (0.853, 0.839, 0.353) [1 per cell]
O (0.885, 0.559, 0.869) [1 per cell]
O (0.889, 0.090, 0.136) [1 per cell]
O (0.891, 0.587, 0.643) [1 per cell]
O (0.892, 0.088, 0.636) [1 per cell]
O (0.892, 0.588, 0.348) [1 per cell]
O (0.893, 0.087, 0.350) [1 per cell]
O (0.899, 0.588, 0.139) [1 per cell]
O (0.946, 0.222, 0.974) [1 per cell]
O (0.957, 0.718, 0.496) [1 per cell]
O (0.957, 0.723, 0.997) [1 per cell]
O (0.964, 0.227, 0.495) [1 per cell]
O (0.987, 0.233, 0.764) [1 per cell]

(5)
Computed, not measured: a relaxed Ca4Mn3AlO11 crystal at the GGA+U level of DFT.

Values from the calculation:
The spin magnetization is 10.00 μB/f.u. The calculation puts the energy above the lowest structure with this stoichiometry at 104 meV/atom.

Cell lengths 7.646, 7.646, 3.783 Å; angles 90.00, 90.00, 90.00 degrees
Space group P4/mmm (No. 123)
One atom of each set of equivalent atoms:
Ca (0.233, 0.233, 0.000) [4 per cell]
Mn (0.000, 0.000, 0.500) [1 per cell]
Mn (0.000, 0.500, 0.500) [2 per cell]
Al (0.500, 0.500, 0.500) [1 per cell]
O (0.000, 0.000, 0.000) [1 per cell]
O (0.000, 0.250, 0.500) [4 per cell]
O (0.000, 0.500, 0.000) [2 per cell]
O (0.262, 0.500, 0.500) [4 per cell]

So what do the calculations give for energy of formation from the pure elements? Going down the list: -1.9853; -2.7400; -3.1186; -2.6776; -2.5972 eV/atom.
So what do the calculations give for energy? Going down the list: -6.223; -6.978; -7.394; -6.947; -6.867 eV/atom.